Record 1
# BaY2Br8

An optimized crystal structure of BaY2Br8 (PBE, the Materials Project database).

Computed properties:
total DFT energy (no corrections)	-97.7	eV per cell
total magnetization	0.000	μB per atom
space group	No. 15

abc: 10.3726 10.3726 11.1070
angles: 65.80 65.80 68.78
Atoms (fractional coordinates):
Ba (0.9720, 0.0280, 0.2500)
Ba (0.0280, 0.9720, 0.7500)
Y (0.4919, 0.9396, 0.2296)
Y (0.9396, 0.4919, 0.7296)
Y (0.0604, 0.5081, 0.2704)
Y (0.5081, 0.0604, 0.7704)
Br (0.5978, 0.6632, 0.3290)
Br (0.2116, 0.9790, 0.4150)
Br (0.9369, 0.3677, 0.2046)
Br (0.3239, 0.9799, 0.0556)
Br (0.6632, 0.5978, 0.8290)
Br (0.9790, 0.2116, 0.9150)
Br (0.3677, 0.9369, 0.7046)
Br (0.9799, 0.3239, 0.5556)
Br (0.0201, 0.6761, 0.4444)
Br (0.6323, 0.0631, 0.2954)
Br (0.0210, 0.7884, 0.0850)
Br (0.3368, 0.4022, 0.1710)
Br (0.6761, 0.0201, 0.9444)
Br (0.0631, 0.6323, 0.7954)
Br (0.7884, 0.0210, 0.5850)
Br (0.4022, 0.3368, 0.6710)



Record 2
# Dy2ZnOs

An optimized crystal structure of Dy2ZnOs (PBE, the Materials Project database).

Computed properties:
total DFT energy (no corrections)	-22.9	eV per cell
total magnetization	0.000	μB per atom
space group	No. 225

abc: 4.9123 4.9123 4.9123
angles: 60.00 60.00 60.00
Atoms (fractional coordinates):
Dy (0.7500, 0.7500, 0.7500)
Dy (0.2500, 0.2500, 0.2500)
Zn (0.0000, 0.0000, 0.0000)
Os (0.5000, 0.5000, 0.5000)



Record 3
# CeI2O6

An optimized crystal structure of CeI2O6 (PBE, the Materials Project database).

Computed properties:
total DFT energy (no corrections)	-200.0	eV per cell
total magnetization	0.000	μB per atom
space group	No. 14

abc: 11.5010 7.1305 8.9516
angles: 52.30 90.00 90.00
Atoms (fractional coordinates):
Ce (0.9355, 0.2175, 0.7826)
Ce (0.4355, 0.7825, 0.7174)
Ce (0.5645, 0.2175, 0.2826)
Ce (0.0645, 0.7825, 0.2174)
I (0.1037, 0.7815, 0.6811)
I (0.6037, 0.2185, 0.8189)
I (0.2535, 0.2774, 0.6759)
I (0.7535, 0.7226, 0.8241)
I (0.2465, 0.2774, 0.1759)
I (0.7465, 0.7226, 0.3241)
I (0.3963, 0.7815, 0.1811)
I (0.8963, 0.2185, 0.3189)
O (0.1062, 0.3995, 0.5572)
O (0.4975, 0.4591, 0.7208)
O (0.9173, 0.0709, 0.5755)
O (0.7388, 0.3845, 0.7865)
O (0.2388, 0.6155, 0.7135)
O (0.5493, 0.0704, 0.5832)
O (0.9975, 0.5409, 0.7792)
O (0.2683, 0.0458, 0.6315)
O (0.7683, 0.9542, 0.8685)
O (0.3938, 0.3995, 0.0572)
O (0.0493, 0.9296, 0.9168)
O (0.5827, 0.0709, 0.0755)
O (0.4173, 0.9291, 0.9245)
O (0.9507, 0.0704, 0.0832)
O (0.6062, 0.6005, 0.9428)
O (0.2317, 0.0458, 0.1315)
O (0.7317, 0.9542, 0.3685)
O (0.0025, 0.4591, 0.2208)
O (0.4507, 0.9296, 0.4168)
O (0.7612, 0.3845, 0.2865)
O (0.2612, 0.6155, 0.2135)
O (0.0827, 0.9291, 0.4245)
O (0.5025, 0.5409, 0.2792)
O (0.8938, 0.6005, 0.4428)



Record 4
# Ba3Tl2Cl2O5

An optimized crystal structure of Ba3Tl2Cl2O5 (PBE, the Materials Project database).

Computed properties:
total DFT energy (no corrections)	-60.6	eV per cell
total magnetization	0.001	μB per atom
space group	No. 139

abc: 13.3211 13.3211 13.3211
angles: 160.92 160.92 27.11
Atoms (fractional coordinates):
Ba (0.1620, 0.1620, 0.0000)
Ba (0.8380, 0.8380, 0.0000)
Ba (0.0000, 0.0000, 0.0000)
Tl (0.4154, 0.4154, 0.0000)
Tl (0.5846, 0.5846, 0.0000)
Cl (0.7055, 0.7055, 0.0000)
Cl (0.2945, 0.2945, 0.0000)
O (0.5969, 0.0969, 0.5000)
O (0.4031, 0.9031, 0.5000)
O (0.0969, 0.5969, 0.5000)
O (0.9031, 0.4031, 0.5000)
O (0.5000, 0.5000, 0.0000)